Record 1
# Cs6Ho21S34Cl GGA-PBE optimized geometry
# * energy of formation: -2316 meV/atom
data_Cs6Ho21S34Cl
_chemical_formula_sum 'Cs6 Ho21 S34 Cl1'
_cell_length_a 13.064
_cell_length_b 13.064
_cell_length_c 13.071
_cell_angle_alpha 65.59
_cell_angle_beta 65.59
_cell_angle_gamma 97.30
_symmetry_space_group_name_H-M 'P 1'
_symmetry_Int_Tables_number 1
_symmetry_space_group_name_Hall 'P 1'
loop_
_atom_site_label
_atom_site_type_symbol
_atom_site_fract_x
_atom_site_fract_y
_atom_site_fract_z
Ho1 Ho 0.955 0.537 0.249
Ho2 Ho 0.171 0.573 0.377
Ho3 Ho 0.699 0.301 0.000
Ho4 Ho 0.537 0.955 0.249
Ho5 Ho 0.465 0.261 0.893
Ho6 Ho 0.100 0.900 0.000
Ho7 Ho 0.757 0.757 0.257
Ho8 Ho 0.535 0.739 0.107
Ho9 Ho 0.829 0.427 0.623
Ho10 Ho 0.900 0.100 0.000
Ho11 Ho 0.301 0.699 0.000
Ho12 Ho 0.463 0.045 0.751
Ho13 Ho 0.045 0.463 0.751
Ho14 Ho 0.427 0.829 0.623
Ho15 Ho 0.500 0.500 0.000
Ho16 Ho 0.739 0.535 0.107
Ho17 Ho 0.573 0.171 0.377
Ho18 Ho 0.600 0.400 0.500
Ho19 Ho 0.261 0.465 0.893
Ho20 Ho 0.400 0.600 0.500
Ho21 Ho 0.243 0.243 0.743
S1 S 0.392 0.987 0.442
S2 S 0.551 0.349 0.181
S3 S 0.651 0.449 0.819
S4 S 0.608 0.013 0.558
S5 S 0.682 0.682 0.942
S6 S 0.422 0.213 0.563
S7 S 0.118 0.514 0.064
S8 S 0.726 0.133 0.186
S9 S 0.059 0.059 0.821
S10 S 0.425 0.425 0.692
S11 S 0.514 0.118 0.064
S12 S 0.575 0.575 0.308
S13 S 0.632 0.246 0.689
S14 S 0.133 0.726 0.186
S15 S 0.882 0.486 0.936
S16 S 0.246 0.632 0.689
S17 S 0.449 0.651 0.819
S18 S 0.710 0.911 0.078
S19 S 0.754 0.368 0.311
S20 S 0.787 0.578 0.437
S21 S 0.213 0.422 0.563
S22 S 0.941 0.941 0.179
S23 S 0.867 0.274 0.814
S24 S 0.349 0.551 0.181
S25 S 0.274 0.867 0.814
S26 S 0.987 0.392 0.442
S27 S 0.486 0.882 0.936
S28 S 0.318 0.318 0.058
S29 S 0.013 0.608 0.558
S30 S 0.089 0.290 0.922
S31 S 0.911 0.710 0.078
S32 S 0.368 0.754 0.311
S33 S 0.578 0.787 0.437
S34 S 0.290 0.089 0.922
Cs1 Cs 0.768 0.768 0.585
Cs2 Cs 0.232 0.232 0.415
Cs3 Cs 0.194 0.948 0.271
Cs4 Cs 0.948 0.194 0.271
Cs5 Cs 0.052 0.806 0.729
Cs6 Cs 0.806 0.052 0.729
Cl1 Cl 0.000 0.000 0.500

***

Record 2
# CdN2Cl2 GGA-PBE optimized geometry
# * magnetization: 5.99 μB/f.u.
# * energy of formation: 1238 meV/atom
data_CdN2Cl2
_chemical_formula_sum 'Cd1 N2 Cl2'
_cell_length_a 6.051
_cell_length_b 6.051
_cell_length_c 3.744
_cell_angle_alpha 90.00
_cell_angle_beta 90.00
_cell_angle_gamma 100.54
_symmetry_space_group_name_H-M 'P 1'
_symmetry_Int_Tables_number 1
_symmetry_space_group_name_Hall 'P 1'
loop_
_atom_site_label
_atom_site_type_symbol
_atom_site_fract_x
_atom_site_fract_y
_atom_site_fract_z
Cl1 Cl 0.772 0.772 0.500
Cl2 Cl 0.228 0.228 0.500
N1 N 0.720 0.280 0.000
N2 N 0.280 0.720 0.000
Cd1 Cd 0.000 0.000 0.000

***

Record 3
# Li3Bi2P3O12 GGA-PBE optimized geometry
# * magnetization: 0.00 μB/f.u.
# * energy of formation: -2466 meV/atom
data_Li3Bi2P3O12
_chemical_formula_sum 'Li6 Bi4 P6 O24'
_cell_length_a 9.025
_cell_length_b 9.025
_cell_length_c 8.877
_cell_angle_alpha 63.29
_cell_angle_beta 63.29
_cell_angle_gamma 63.64
_symmetry_space_group_name_H-M 'P 1'
_symmetry_Int_Tables_number 1
_symmetry_space_group_name_Hall 'P 1'
loop_
_atom_site_label
_atom_site_type_symbol
_atom_site_fract_x
_atom_site_fract_y
_atom_site_fract_z
P1 P 0.440 0.560 0.750
P2 P 0.743 0.901 0.064
P3 P 0.560 0.440 0.250
P4 P 0.099 0.257 0.436
P5 P 0.257 0.099 0.936
P6 P 0.901 0.743 0.564
O1 O 0.471 0.409 0.690
O2 O 0.944 0.190 0.505
O3 O 0.529 0.591 0.310
O4 O 0.736 0.432 0.093
O5 O 0.326 0.094 0.069
O6 O 0.409 0.471 0.190
O7 O 0.889 0.720 0.098
O8 O 0.568 0.264 0.407
O9 O 0.094 0.326 0.569
O10 O 0.432 0.736 0.593
O11 O 0.398 0.100 0.749
O12 O 0.591 0.529 0.810
O13 O 0.111 0.280 0.902
O14 O 0.602 0.900 0.251
O15 O 0.720 0.889 0.598
O16 O 0.674 0.906 0.931
O17 O 0.056 0.810 0.495
O18 O 0.906 0.674 0.431
O19 O 0.264 0.568 0.907
O20 O 0.810 0.056 0.995
O21 O 0.100 0.398 0.249
O22 O 0.900 0.602 0.751
O23 O 0.280 0.111 0.402
O24 O 0.190 0.944 0.005
Bi1 Bi 0.331 0.859 0.352
Bi2 Bi 0.141 0.669 0.148
Bi3 Bi 0.859 0.331 0.852
Bi4 Bi 0.669 0.141 0.648
Li1 Li 0.500 0.000 0.500
Li2 Li 0.000 0.500 0.000
Li3 Li 0.722 0.666 0.384
Li4 Li 0.666 0.722 0.884
Li5 Li 0.278 0.334 0.616
Li6 Li 0.334 0.278 0.116

***

Record 4
# Sm3Ho GGA-PBE optimized geometry
# * energy of formation: 12 meV/atom
data_Sm3Ho
_chemical_formula_sum 'Sm3 Ho1'
_cell_length_a 5.094
_cell_length_b 5.094
_cell_length_c 5.094
_cell_angle_alpha 90.00
_cell_angle_beta 90.00
_cell_angle_gamma 90.00
_symmetry_space_group_name_H-M 'P 1'
_symmetry_Int_Tables_number 1
_symmetry_space_group_name_Hall 'P 1'
loop_
_atom_site_label
_atom_site_type_symbol
_atom_site_fract_x
_atom_site_fract_y
_atom_site_fract_z
Sm1 Sm 0.000 0.000 0.500
Sm2 Sm 0.000 0.500 0.000
Sm3 Sm 0.500 0.000 0.000
Ho1 Ho 0.500 0.500 0.500

***

Record 5
# BiS2 GGA-PBE optimized geometry
# * energy of formation: -594 meV/atom
data_BiS2
_chemical_formula_sum 'Bi4 S8'
_cell_length_a 4.082
_cell_length_b 8.241
_cell_length_c 9.510
_cell_angle_alpha 81.50
_cell_angle_beta 77.61
_cell_angle_gamma 75.66
_symmetry_space_group_name_H-M 'P 1'
_symmetry_Int_Tables_number 1
_symmetry_space_group_name_Hall 'P 1'
loop_
_atom_site_label
_atom_site_type_symbol
_atom_site_fract_x
_atom_site_fract_y
_atom_site_fract_z
S1 S 0.924 0.619 0.534
S2 S 0.788 0.075 0.349
S3 S 0.343 0.472 0.842
S4 S 0.076 0.381 0.466
S5 S 0.212 0.925 0.651
S6 S 0.036 0.878 0.050
S7 S 0.657 0.528 0.158
S8 S 0.964 0.122 0.950
Bi1 Bi 0.703 0.697 0.898
Bi2 Bi 0.297 0.303 0.102
Bi3 Bi 0.393 0.827 0.388
Bi4 Bi 0.607 0.173 0.612

***

Record 6
# Ta2C3N6 GGA-PBE optimized geometry
# * magnetization: 1.47 μB/f.u.
# * energy of formation: -274 meV/atom
data_Ta2C3N6
_chemical_formula_sum 'Ta4 C6 N12'
_cell_length_a 10.694
_cell_length_b 5.325
_cell_length_c 30.718
_cell_angle_alpha 90.04
_cell_angle_beta 163.30
_cell_angle_gamma 75.56
_symmetry_space_group_name_H-M 'P 1'
_symmetry_Int_Tables_number 1
_symmetry_space_group_name_Hall 'P 1'
loop_
_atom_site_label
_atom_site_type_symbol
_atom_site_fract_x
_atom_site_fract_y
_atom_site_fract_z
N1 N 0.055 0.291 0.895
N2 N 0.944 0.346 0.605
N3 N 0.076 0.636 0.816
N4 N 0.017 0.347 0.549
N5 N 0.924 0.364 0.184
N6 N 0.983 0.653 0.451
N7 N 0.945 0.709 0.105
N8 N 0.056 0.654 0.395
N9 N 0.074 0.290 0.315
N10 N 0.983 0.364 0.951
N11 N 0.926 0.710 0.685
N12 N 0.017 0.636 0.049
C1 C 0.002 0.668 0.751
C2 C 0.993 0.338 0.581
C3 C 0.998 0.332 0.249
C4 C 0.005 0.332 0.918
C5 C 0.007 0.662 0.419
C6 C 0.995 0.668 0.082
Ta1 Ta 0.004 0.995 0.169
Ta2 Ta 0.004 0.998 0.334
Ta3 Ta 0.996 0.002 0.666
Ta4 Ta 0.996 0.005 0.831

***

Record 7
# Li4Sc3InSi8O24 GGA-PBE optimized geometry
# * magnetization: 0.01 μB/f.u.
# * energy of formation: -3211 meV/atom
data_Li4Sc3InSi8O24
_chemical_formula_sum 'Li4 Sc3 In1 Si8 O24'
_cell_length_a 5.424
_cell_length_b 6.741
_cell_length_c 13.170
_cell_angle_alpha 89.14
_cell_angle_beta 98.49
_cell_angle_gamma 104.95
_symmetry_space_group_name_H-M 'P 1'
_symmetry_Int_Tables_number 1
_symmetry_space_group_name_Hall 'P 1'
loop_
_atom_site_label
_atom_site_type_symbol
_atom_site_fract_x
_atom_site_fract_y
_atom_site_fract_z
O1 O 0.119 0.638 0.673
O2 O 0.862 0.793 0.518
O3 O 0.127 0.654 0.181
O4 O 0.285 0.620 0.437
O5 O 0.049 0.123 0.693
O6 O 0.382 0.363 0.828
O7 O 0.362 0.795 0.019
O8 O 0.146 0.205 0.480
O9 O 0.785 0.620 0.937
O10 O 0.215 0.380 0.063
O11 O 0.618 0.638 0.173
O12 O 0.374 0.347 0.319
O13 O 0.873 0.346 0.819
O14 O 0.463 0.874 0.810
O15 O 0.628 0.656 0.681
O16 O 0.538 0.126 0.190
O17 O 0.639 0.205 0.981
O18 O 0.436 0.961 0.603
O19 O 0.055 0.038 0.898
O20 O 0.962 0.874 0.310
O21 O 0.946 0.963 0.103
O22 O 0.881 0.362 0.327
O23 O 0.705 0.385 0.562
O24 O 0.552 0.035 0.395
Si1 Si 0.415 0.787 0.693
Si2 Si 0.830 0.615 0.607
Si3 Si 0.584 0.213 0.307
Si4 Si 0.671 0.385 0.894
Si5 Si 0.916 0.788 0.193
Si6 Si 0.329 0.615 0.106
Si7 Si 0.085 0.213 0.808
Si8 Si 0.172 0.386 0.393
Li1 Li 0.376 0.253 0.627
Li2 Li 0.624 0.747 0.374
Li3 Li 0.876 0.252 0.126
Li4 Li 0.124 0.748 0.874
Sc1 Sc 0.195 0.891 0.445
Sc2 Sc 0.696 0.892 0.946
Sc3 Sc 0.304 0.108 0.054
In1 In 0.802 0.105 0.553

***

Record 8
# ZrTeSe GGA-PBE optimized geometry
# * magnetization: 0.00 μB/f.u.
# * energy of formation: -825 meV/atom
data_ZrTeSe
_chemical_formula_sum 'Zr2 Te2 Se2'
_cell_length_a 4.604
_cell_length_b 4.604
_cell_length_c 7.286
_cell_angle_alpha 90.00
_cell_angle_beta 90.00
_cell_angle_gamma 90.00
_symmetry_space_group_name_H-M 'P 1'
_symmetry_Int_Tables_number 1
_symmetry_space_group_name_Hall 'P 1'
loop_
_atom_site_label
_atom_site_type_symbol
_atom_site_fract_x
_atom_site_fract_y
_atom_site_fract_z
Te1 Te 0.750 0.250 0.000
Te2 Te 0.250 0.750 0.000
Se1 Se 0.250 0.250 0.629
Se2 Se 0.750 0.750 0.371
Zr1 Zr 0.250 0.250 0.258
Zr2 Zr 0.750 0.750 0.742